# Na14Ca6Si5Sn2S7O48

Crystalline Na14Ca6Si5Sn2S7O48 at its relaxed geometry (PBE-GGA, the Materials Project database).

Structure (POSCAR):
```
Na14Ca6Si5Sn2S7O48
1.0
-11.528 14.913 -0.640
-0.443 -6.620 -6.689
-15.614 -11.610 12.451
Na Ca Si Sn S O
42 18 15 6 21 144
Direct
0.809 0.008 0.247
0.689 0.347 0.241
0.505 0.653 0.243
0.304 0.605 0.748
0.007 0.378 0.744
0.174 0.005 0.739
0.150 0.317 0.575
0.670 0.364 0.585
0.017 0.705 0.575
0.521 0.676 0.592
0.325 0.996 0.585
0.825 0.961 0.592
0.167 0.973 0.081
0.656 0.991 0.068
0.317 0.682 0.088
0.830 0.660 0.082
0.023 0.367 0.089
0.514 0.323 0.066
0.495 0.667 0.919
0.980 0.664 0.915
0.361 0.058 0.926
0.839 0.036 0.911
0.168 0.295 0.917
0.658 0.278 0.928
0.480 0.300 0.430
0.996 0.324 0.422
0.155 0.033 0.431
0.670 0.043 0.422
0.335 0.643 0.415
0.862 0.666 0.427
0.010 0.990 0.500
0.508 0.020 0.511
0.010 0.998 0.007
0.509 0.031 0.994
0.339 0.334 0.831
0.827 0.332 0.827
0.310 0.319 0.333
0.845 0.351 0.332
0.167 0.672 0.155
0.667 0.660 0.162
0.156 0.674 0.669
0.669 0.665 0.657
0.004 0.001 0.350
0.503 0.004 0.345
0.002 0.995 0.842
0.504 0.005 0.851
0.334 0.326 0.681
0.829 0.336 0.684
0.325 0.320 0.181
0.835 0.343 0.180
0.333 0.318 0.992
0.828 0.337 0.989
0.329 0.321 0.492
0.832 0.346 0.494
0.168 0.670 0.018
0.663 0.658 0.014
0.163 0.668 0.515
0.668 0.668 0.519
0.664 0.673 0.315
0.162 0.658 0.813
0.650 0.997 0.250
0.151 0.302 0.750
0.000 0.687 0.754
0.485 0.325 0.582
0.176 0.020 0.587
0.677 0.029 0.581
0.840 0.656 0.584
0.985 0.644 0.081
0.341 0.028 0.086
0.179 0.330 0.081
0.676 0.334 0.089
0.514 0.367 0.915
0.671 0.972 0.918
0.171 0.370 0.418
0.012 0.659 0.416
0.006 0.987 0.654
0.508 0.019 0.652
0.010 0.998 0.151
0.503 0.008 0.152
0.159 0.652 0.321
0.664 0.674 0.820
0.153 0.986 0.253
0.349 0.702 0.251
0.849 0.704 0.251
0.003 0.304 0.250
0.501 0.304 0.251
0.649 0.316 0.752
0.504 0.709 0.750
0.355 0.996 0.749
0.843 0.984 0.752
0.985 0.323 0.587
0.339 0.649 0.586
0.485 0.645 0.088
0.837 0.028 0.086
0.317 0.664 0.915
0.815 0.670 0.915
0.013 0.358 0.918
0.167 0.970 0.916
0.317 0.964 0.414
0.817 0.971 0.415
0.665 0.364 0.414
0.513 0.666 0.416
0.107 0.994 0.303
0.609 0.019 0.308
0.395 0.786 0.304
0.894 0.792 0.302
0.490 0.209 0.304
0.998 0.208 0.302
0.111 0.204 0.809
0.605 0.218 0.803
0.498 0.791 0.801
0.991 0.766 0.815
0.401 0.005 0.801
0.889 0.997 0.806
0.399 0.980 0.696
0.885 0.968 0.700
0.085 0.199 0.694
0.600 0.237 0.697
0.009 0.808 0.697
0.512 0.810 0.696
0.392 0.803 0.198
0.889 0.801 0.196
0.011 0.226 0.196
0.506 0.211 0.199
0.108 0.970 0.197
0.583 0.969 0.195
0.440 0.370 0.631
0.944 0.342 0.638
0.232 0.108 0.643
0.744 0.125 0.632
0.328 0.547 0.637
0.820 0.515 0.633
0.446 0.548 0.141
0.940 0.513 0.132
0.326 0.125 0.137
0.827 0.106 0.139
0.242 0.366 0.133
0.731 0.357 0.146
0.208 0.282 0.021
0.713 0.298 0.030
0.437 0.565 0.036
0.932 0.587 0.020
0.367 0.134 0.025
0.847 0.127 0.034
0.213 0.126 0.526
0.702 0.131 0.520
0.352 0.576 0.533
0.865 0.600 0.523
0.433 0.277 0.520
0.938 0.306 0.533
0.277 0.683 0.967
0.777 0.683 0.969
0.064 0.441 0.969
0.565 0.441 0.974
0.162 0.877 0.969
0.661 0.873 0.978
0.281 0.873 0.468
0.776 0.869 0.466
0.164 0.454 0.477
0.660 0.450 0.466
0.066 0.690 0.474
0.565 0.686 0.467
0.061 0.628 0.359
0.553 0.651 0.362
0.263 0.874 0.363
0.768 0.891 0.362
0.191 0.506 0.361
0.669 0.456 0.361
0.054 0.453 0.865
0.566 0.498 0.859
0.172 0.885 0.864
0.691 0.877 0.862
0.268 0.649 0.863
0.761 0.650 0.863
0.001 0.820 0.410
0.502 0.813 0.413
0.399 0.981 0.408
0.900 0.991 0.411
0.086 0.194 0.411
0.588 0.198 0.414
0.001 0.188 0.915
0.502 0.184 0.910
0.091 0.985 0.916
0.586 0.978 0.911
0.401 0.812 0.911
0.896 0.823 0.910
0.483 0.144 0.594
0.990 0.169 0.591
0.085 0.014 0.590
0.583 0.012 0.594
0.416 0.816 0.593
0.921 0.845 0.596
0.490 0.810 0.091
0.984 0.823 0.092
0.421 0.998 0.097
0.913 0.013 0.091
0.084 0.156 0.090
0.584 0.159 0.092
0.344 0.140 0.746
0.836 0.132 0.747
0.243 0.322 0.746
0.729 0.329 0.749
0.429 0.548 0.745
0.926 0.496 0.751
0.348 0.544 0.247
0.839 0.538 0.250
0.434 0.341 0.245
0.927 0.313 0.248
0.235 0.135 0.252
0.742 0.157 0.245
0.324 0.514 0.920
0.824 0.523 0.915
0.425 0.362 0.912
0.931 0.346 0.921
0.242 0.137 0.917
0.753 0.156 0.915
0.325 0.130 0.414
0.824 0.135 0.419
0.253 0.352 0.414
0.738 0.344 0.416
0.431 0.514 0.420
0.923 0.488 0.414
0.161 0.482 0.079
0.663 0.493 0.086
0.081 0.689 0.079
0.570 0.673 0.085
0.260 0.844 0.081
0.764 0.860 0.082
0.164 0.835 0.585
0.659 0.840 0.580
0.267 0.672 0.580
0.761 0.683 0.581
0.070 0.467 0.583
0.581 0.470 0.579
0.161 0.833 0.256
0.653 0.826 0.245
0.265 0.682 0.251
0.765 0.687 0.251
0.079 0.473 0.253
0.581 0.462 0.251
0.159 0.483 0.744
0.657 0.485 0.754
0.089 0.697 0.748
0.580 0.694 0.751
0.273 0.842 0.748
0.758 0.827 0.754
```

Properties
- E_form: -2.48 eV/atom
- Spin magnetization: 0.01 μB/f.u.
- E_tot: -6.126 eV/atom
- SG: P1


# Na4Ca3SiSnS5O24

Crystalline Na4Ca3SiSnS5O24 at its relaxed geometry (PBE-GGA, the Materials Project database).

Structure (POSCAR):
```
Na4Ca3SiSnS5O24
1.0
9.243 -0.018 0.019
-4.637 8.029 -0.030
0.047 -0.060 23.621
Na Ca Si Sn S O
12 9 3 3 15 72
Direct
0.360 0.360 0.252
0.321 0.348 0.591
0.017 0.692 0.579
0.001 0.683 0.920
0.692 0.026 0.910
0.307 0.293 0.922
0.959 0.975 0.501
0.020 0.022 0.999
0.667 0.323 0.830
0.685 0.333 0.333
0.335 0.686 0.168
0.384 0.683 0.666
0.993 0.992 0.352
0.003 0.004 0.846
0.980 0.991 0.652
0.996 0.994 0.148
0.663 0.335 0.687
0.677 0.331 0.185
0.324 0.660 0.018
0.347 0.672 0.513
0.337 0.680 0.321
0.667 0.628 0.583
0.035 0.370 0.918
0.338 0.967 0.919
0.670 0.325 0.983
0.668 0.341 0.484
0.320 0.673 0.821
0.299 0.000 0.250
0.691 0.694 0.250
0.008 0.302 0.252
0.307 0.325 0.754
0.012 0.694 0.752
0.674 0.984 0.756
0.958 0.330 0.580
0.371 0.042 0.581
0.953 0.629 0.079
0.673 0.038 0.080
0.377 0.330 0.082
0.622 0.656 0.916
0.642 0.992 0.421
0.343 0.358 0.418
0.017 0.655 0.422
0.211 0.011 0.301
0.785 0.779 0.302
0.995 0.204 0.302
0.218 0.229 0.805
0.001 0.776 0.804
0.765 0.995 0.809
0.761 0.971 0.706
0.214 0.246 0.701
0.023 0.789 0.701
0.777 0.788 0.199
0.020 0.217 0.200
0.204 0.988 0.198
0.871 0.339 0.630
0.476 0.113 0.631
0.638 0.506 0.635
0.855 0.531 0.128
0.667 0.134 0.128
0.468 0.330 0.132
0.467 0.321 0.027
0.860 0.544 0.024
0.683 0.131 0.024
0.458 0.142 0.528
0.706 0.541 0.524
0.851 0.298 0.527
0.557 0.694 0.967
0.169 0.438 0.968
0.299 0.845 0.970
0.559 0.897 0.471
0.332 0.442 0.470
0.105 0.667 0.475
0.108 0.645 0.372
0.545 0.914 0.369
0.362 0.457 0.367
0.115 0.502 0.861
0.392 0.891 0.862
0.512 0.625 0.865
0.987 0.797 0.418
0.813 0.017 0.417
0.196 0.188 0.415
0.980 0.177 0.907
0.180 0.997 0.909
0.795 0.795 0.906
0.997 0.193 0.583
0.213 0.049 0.586
0.842 0.808 0.584
0.971 0.796 0.078
0.827 0.027 0.080
0.209 0.180 0.079
0.648 0.128 0.753
0.476 0.344 0.753
0.870 0.521 0.750
0.667 0.521 0.249
0.861 0.327 0.250
0.465 0.160 0.248
0.628 0.496 0.922
0.855 0.378 0.926
0.513 0.159 0.924
0.654 0.164 0.424
0.501 0.343 0.421
0.848 0.491 0.421
0.368 0.484 0.080
0.117 0.638 0.080
0.523 0.872 0.079
0.326 0.865 0.574
0.496 0.638 0.578
0.119 0.491 0.574
0.325 0.854 0.252
0.518 0.671 0.252
0.167 0.469 0.254
0.322 0.497 0.757
0.176 0.689 0.753
0.506 0.821 0.757
```

Properties
- E_form: -2.41 eV/atom
- Spin magnetization: 0.00 μB/f.u.
- E_tot: -6.189 eV/atom
- SG: P1


- The highest E_tot belongs to which entry?
  Na14Ca6Si5Sn2S7O48